Entry from Materials Project: a relaxed structure of GdSnAu (PBE-GGA).

Cell: 4.742 4.742 7.511 Å, 90.00 90.00 120.00°
Fractional positions:
Gd (0.000, 0.000, 0.099)
Gd (0.000, 0.000, 0.599)
Sn (0.667, 0.333, 0.875)
Sn (0.333, 0.667, 0.375)
Au (0.333, 0.667, 0.780)
Au (0.667, 0.333, 0.280)

SG   P6_3mc
Calculated total energy   -7.95 eV/atom